# 1
# PrTi2ZnO6 (PBE, relaxed)
# ΔE_f = -3147 meV per atom
data_PrTi2ZnO6
_chemical_formula_sum 'Pr2 Ti4 Zn2 O12'
_cell_length_a 7.720
_cell_length_b 5.641
_cell_length_c 5.381
_cell_angle_alpha 90.00
_cell_angle_beta 90.00
_cell_angle_gamma 90.00
_symmetry_space_group_name_H-M 'P m n 21'
_symmetry_Int_Tables_number 31
loop_
_symmetry_equiv_pos_as_xyz
'x,y,z'
'-x+1/2,-y,z+1/2'
'-x,y,z'
'x+1/2,-y,z+1/2'
loop_
_atom_site_label
_atom_site_fract_x
_atom_site_fract_y
_atom_site_fract_z
Pr1 0.000 0.190 0.000
Ti1 0.248 0.273 0.490
Zn1 0.000 0.796 0.492
O1 0.000 0.266 0.564
O2 0.000 0.773 0.859
O3 0.195 0.943 0.292
O4 0.203 0.458 0.189


# 2
# PrYO2 (PBE, relaxed)
# ΔE_f = -3156 meV per atom
data_PrYO2
_chemical_formula_sum 'Pr3 Y3 O6'
_cell_length_a 3.4698
_cell_length_b 3.4698
_cell_length_c 17.9703
_cell_angle_alpha 90.00
_cell_angle_beta 90.00
_cell_angle_gamma 120.00
_symmetry_space_group_name_H-M 'R -3 m'
_symmetry_Int_Tables_number 166
_symmetry_space_group_name_Hall '-R 3 2"'
loop_
_atom_site_label
_atom_site_fract_x
_atom_site_fract_y
_atom_site_fract_z
Pr1 0.0000 0.0000 0.0000
Y1 0.0000 0.0000 0.5000
O1 0.0000 0.0000 0.2331